[1]
Compound: BaIn2P4O14
Source: the Materials Project database
Functional: PBE
Structure: optimized geometry Values from VASP.

Calculated values
* magnetization: 0.00 μB/f.u.

```
&SYSTEM
  ibrav = 0, nat = 42, ntyp = 4
/
ATOMIC_SPECIES
Ba 137.33 Ba.upf
In 114.82 In.upf
P 30.97 P.upf
O 16.00 O.upf
CELL_PARAMETERS angstrom
5.541 -5.419 0.000
5.541 5.419 0.000
-2.356 0.000 9.761
ATOMIC_POSITIONS crystal
Ba 0.000 0.500 0.000
Ba 0.500 0.000 0.500
In 0.000 0.000 0.000
In 0.000 0.000 0.500
In 0.447 0.553 0.750
In 0.553 0.447 0.250
P 0.179 0.269 0.300
P 0.252 0.634 0.440
P 0.269 0.179 0.800
P 0.366 0.748 0.060
P 0.634 0.252 0.940
P 0.731 0.821 0.200
P 0.748 0.366 0.560
P 0.821 0.731 0.700
O 0.050 0.222 0.166
O 0.138 0.478 0.337
O 0.148 0.176 0.415
O 0.161 0.804 0.406
O 0.176 0.148 0.915
O 0.196 0.839 0.094
O 0.222 0.050 0.666
O 0.253 0.373 0.785
O 0.253 0.612 0.587
O 0.364 0.563 0.099
O 0.373 0.253 0.285
O 0.388 0.747 0.913
O 0.437 0.636 0.401
O 0.478 0.138 0.837
O 0.522 0.862 0.163
O 0.563 0.364 0.599
O 0.612 0.253 0.087
O 0.627 0.747 0.715
O 0.636 0.437 0.901
O 0.747 0.388 0.413
O 0.747 0.627 0.215
O 0.778 0.950 0.334
O 0.804 0.161 0.906
O 0.824 0.852 0.085
O 0.839 0.196 0.594
O 0.852 0.824 0.585
O 0.862 0.522 0.663
O 0.950 0.778 0.834
```

***

[2]
Compound: BaPr2In2O7
Source: the Materials Project database
Functional: PBE
Structure: optimized geometry Values from VASP.

Calculated values
* magnetization: 0.00 μB/f.u.

```
&SYSTEM
  ibrav = 0, nat = 48, ntyp = 4
/
ATOMIC_SPECIES
Ba 137.33 Ba.upf
Pr 140.91 Pr.upf
In 114.82 In.upf
O 16.00 O.upf
CELL_PARAMETERS angstrom
5.991 0.000 0.000
0.000 5.991 0.000
0.000 0.000 20.849
ATOMIC_POSITIONS crystal
Ba 0.238 0.238 0.000
Ba 0.262 0.738 0.500
Ba 0.738 0.262 0.500
Ba 0.762 0.762 0.000
Pr 0.221 0.221 0.186
Pr 0.221 0.221 0.814
Pr 0.279 0.721 0.314
Pr 0.279 0.721 0.686
Pr 0.721 0.279 0.314
Pr 0.721 0.279 0.686
Pr 0.779 0.779 0.186
Pr 0.779 0.779 0.814
In 0.240 0.240 0.397
In 0.240 0.240 0.603
In 0.260 0.740 0.103
In 0.260 0.740 0.897
In 0.740 0.260 0.103
In 0.740 0.260 0.897
In 0.760 0.760 0.397
In 0.760 0.760 0.603
O 0.000 0.000 0.091
O 0.000 0.000 0.363
O 0.000 0.000 0.637
O 0.000 0.000 0.909
O 0.000 0.500 0.118
O 0.000 0.500 0.382
O 0.000 0.500 0.618
O 0.000 0.500 0.882
O 0.181 0.819 0.211
O 0.181 0.819 0.789
O 0.202 0.202 0.500
O 0.298 0.702 0.000
O 0.319 0.319 0.289
O 0.319 0.319 0.711
O 0.500 0.000 0.118
O 0.500 0.000 0.382
O 0.500 0.000 0.618
O 0.500 0.000 0.882
O 0.500 0.500 0.137
O 0.500 0.500 0.409
O 0.500 0.500 0.591
O 0.500 0.500 0.863
O 0.681 0.681 0.289
O 0.681 0.681 0.711
O 0.702 0.298 0.000
O 0.798 0.798 0.500
O 0.819 0.181 0.211
O 0.819 0.181 0.789
```

***

[3]
Compound: Ba2InRuO6
Source: the Materials Project database
Functional: PBE
Structure: optimized geometry Values from VASP.

```
&SYSTEM
  ibrav = 0, nat = 30, ntyp = 4
/
ATOMIC_SPECIES
Ba 137.33 Ba.upf
In 114.82 In.upf
Ru 101.07 Ru.upf
O 16.00 O.upf
CELL_PARAMETERS angstrom
5.941 0.000 0.000
-2.970 5.145 0.000
0.000 0.000 14.759
ATOMIC_POSITIONS crystal
Ba 0.000 0.000 0.249
Ba 0.000 0.000 0.751
Ba 0.333 0.667 0.095
Ba 0.333 0.667 0.408
Ba 0.667 0.333 0.592
Ba 0.667 0.333 0.905
In 0.000 0.000 0.000
In 0.333 0.667 0.653
In 0.667 0.333 0.347
Ru 0.000 0.000 0.500
Ru 0.333 0.667 0.844
Ru 0.667 0.333 0.156
O 0.026 0.513 0.757
O 0.157 0.314 0.577
O 0.157 0.843 0.577
O 0.172 0.345 0.915
O 0.172 0.828 0.915
O 0.314 0.157 0.423
O 0.345 0.172 0.085
O 0.487 0.513 0.757
O 0.487 0.974 0.757
O 0.513 0.026 0.243
O 0.513 0.487 0.243
O 0.655 0.828 0.915
O 0.686 0.843 0.577
O 0.828 0.172 0.085
O 0.828 0.655 0.085
O 0.843 0.157 0.423
O 0.843 0.686 0.423
O 0.974 0.487 0.243
```

***

[4]
Compound: Ba2InSbO6
Source: the Materials Project database
Functional: PBE
Structure: optimized geometry Values from VASP.

Calculated values
* magnetization: 0.00 μB/f.u.

```
&SYSTEM
  ibrav = 0, nat = 10, ntyp = 4
/
ATOMIC_SPECIES
Ba 137.33 Ba.upf
In 114.82 In.upf
Sb 121.76 Sb.upf
O 16.00 O.upf
CELL_PARAMETERS angstrom
0.000 4.198 4.198
4.198 0.000 4.198
4.198 4.198 0.000
ATOMIC_POSITIONS crystal
Ba 0.250 0.250 0.250
Ba 0.750 0.750 0.750
In 0.000 0.000 0.000
Sb 0.500 0.500 0.500
O 0.260 0.260 0.740
O 0.260 0.740 0.260
O 0.260 0.740 0.740
O 0.740 0.260 0.260
O 0.740 0.260 0.740
O 0.740 0.740 0.260
```

***

[5]
Compound: BaZrInSbO6
Source: the Materials Project database
Functional: PBE
Structure: optimized geometry Values from VASP.

Calculated values
* magnetization: 0.00 μB/f.u.

```
&SYSTEM
  ibrav = 0, nat = 10, ntyp = 5
/
ATOMIC_SPECIES
Ba 137.33 Ba.upf
Zr 91.22 Zr.upf
In 114.82 In.upf
Sb 121.76 Sb.upf
O 16.00 O.upf
CELL_PARAMETERS angstrom
0.000 4.163 4.163
4.163 0.000 4.163
4.163 4.163 0.000
ATOMIC_POSITIONS crystal
Ba 0.000 0.000 0.000
Zr 0.750 0.750 0.750
In 0.500 0.500 0.500
Sb 0.250 0.250 0.250
O 0.006 0.006 0.494
O 0.006 0.494 0.006
O 0.006 0.494 0.494
O 0.494 0.006 0.006
O 0.494 0.006 0.494
O 0.494 0.494 0.006
```

***

[6]
Compound: BaSr2In6O12
Source: the Materials Project database
Functional: PBE
Structure: optimized geometry Values from VASP.

Calculated values
* magnetization: 0.00 μB/f.u.

```
&SYSTEM
  ibrav = 0, nat = 21, ntyp = 4
/
ATOMIC_SPECIES
Ba 137.33 Ba.upf
Sr 87.62 Sr.upf
In 114.82 In.upf
O 16.00 O.upf
CELL_PARAMETERS angstrom
10.125 0.000 0.000
-5.062 8.768 0.000
0.000 0.000 3.355
ATOMIC_POSITIONS crystal
Ba 0.000 0.000 0.000
Sr 0.333 0.667 0.412
Sr 0.667 0.333 0.913
In 0.001 0.349 0.415
In 0.348 0.999 0.415
In 0.351 0.349 0.911
In 0.651 0.002 0.911
In 0.651 0.652 0.415
In 0.998 0.649 0.911
O 0.106 0.813 0.414
O 0.125 0.522 0.913
O 0.187 0.292 0.414
O 0.306 0.112 0.914
O 0.397 0.875 0.913
O 0.478 0.603 0.913
O 0.522 0.399 0.412
O 0.601 0.123 0.412
O 0.708 0.894 0.414
O 0.806 0.694 0.914
O 0.877 0.478 0.412
O 0.888 0.194 0.914
```

***

[7]
Compound: BaZrTiInO6
Source: the Materials Project database
Functional: PBE
Structure: optimized geometry Values from VASP.

Calculated values
* magnetization: 0.00 μB/f.u.

```
&SYSTEM
  ibrav = 0, nat = 10, ntyp = 5
/
ATOMIC_SPECIES
Ba 137.33 Ba.upf
Zr 91.22 Zr.upf
Ti 47.87 Ti.upf
In 114.82 In.upf
O 16.00 O.upf
CELL_PARAMETERS angstrom
0.000 4.098 4.098
4.098 0.000 4.098
4.098 4.098 0.000
ATOMIC_POSITIONS crystal
Ba 0.000 0.000 0.000
Zr 0.250 0.250 0.250
Ti 0.750 0.750 0.750
In 0.500 0.500 0.500
O 0.508 0.508 0.992
O 0.508 0.992 0.508
O 0.508 0.992 0.992
O 0.992 0.508 0.508
O 0.992 0.508 0.992
O 0.992 0.992 0.508
```

***

[8]
Compound: Ba3UIn2O9
Source: the Materials Project database
Functional: PBE
Structure: optimized geometry Values from VASP.

Calculated values
* relative energy among the computed polymorphs: 8 kJ/mol of formula units
* magnetization: 0.00 μB/f.u.

```
&SYSTEM
  ibrav = 0, nat = 15, ntyp = 4
/
ATOMIC_SPECIES
Ba 137.33 Ba.upf
U 238.03 U.upf
In 114.82 In.upf
O 16.00 O.upf
CELL_PARAMETERS angstrom
6.091 0.000 0.000
-3.046 5.275 0.000
0.000 0.000 7.517
ATOMIC_POSITIONS crystal
Ba 0.000 0.000 0.000
Ba 0.333 0.667 0.699
Ba 0.667 0.333 0.301
U 0.000 0.000 0.500
In 0.333 0.667 0.163
In 0.667 0.333 0.837
O 0.000 0.500 0.000
O 0.162 0.325 0.339
O 0.162 0.838 0.339
O 0.325 0.162 0.661
O 0.500 0.000 0.000
O 0.500 0.500 0.000
O 0.675 0.838 0.339
O 0.838 0.162 0.661
O 0.838 0.675 0.661
```

***

no.,calculated formation energy (eV/atom),energy (eV/f.u.)
1,-2.713,-145.7
2,-2.879,-81.4
3,-2.284,-64.3
4,-2.536,-61.6
5,-2.587,-68.8
6,-2.312,-121.5
7,-3.029,-77.0
8,-2.966,-105.4